The following is a DFT calculation (PBE) of Ac2CuSn after structural relaxation.

Properties
The value obtained for the theoretical density is 8.4 g cm⁻³. The symmetry is No. 225. Its crystal system is cubic. The calculated total energy is -4.43 eV/atom.

abc: 7.948 7.948 7.948
angles: 90.00 90.00 90.00
Sites, in units of the cell vectors:
Ac 0.250 0.250 0.250
Ac 0.250 0.250 0.750
Ac 0.250 0.750 0.250
Ac 0.250 0.750 0.750
Ac 0.750 0.250 0.250
Ac 0.750 0.250 0.750
Ac 0.750 0.750 0.250
Ac 0.750 0.750 0.750
Cu 0.000 0.000 0.000
Cu 0.000 0.500 0.500
Cu 0.500 0.000 0.500
Cu 0.500 0.500 0.000
Sn 0.000 0.000 0.500
Sn 0.000 0.500 0.000
Sn 0.500 0.000 0.000
Sn 0.500 0.500 0.500

***

The following is a DFT calculation (PBE) of HfVP after structural relaxation.

Properties
The value obtained for the theoretical density is 9.6 g cm⁻³. The symmetry is No. 62. Its crystal system is orthorhombic. The calculated total energy is -9.23 eV/atom.

abc: 6.596 3.469 7.851
angles: 90.00 90.00 90.00
Sites, in units of the cell vectors:
Hf 0.039 0.250 0.170
Hf 0.461 0.750 0.670
Hf 0.539 0.250 0.330
Hf 0.961 0.750 0.830
V 0.131 0.250 0.559
V 0.369 0.750 0.059
V 0.631 0.250 0.941
V 0.869 0.750 0.441
P 0.239 0.750 0.363
P 0.261 0.250 0.863
P 0.739 0.750 0.137
P 0.761 0.250 0.637

***

The following is a DFT calculation (PBE) of Sm3Sb4Pt7 after structural relaxation.

Properties
The value obtained for the theoretical density is 13.0 g cm⁻³. The symmetry is No. 12. Its crystal system is monoclinic. The calculated total energy is -6.10 eV/atom.

abc: 8.615 8.615 10.557
angles: 127.57 127.57 28.93
Sites, in units of the cell vectors:
Sm 0.000 0.000 0.000
Sm 0.328 0.328 0.315
Sm 0.672 0.672 0.685
Sb 0.141 0.141 0.409
Sb 0.329 0.329 0.975
Sb 0.671 0.671 0.025
Sb 0.859 0.859 0.591
Pt 0.000 0.000 0.500
Pt 0.123 0.123 0.844
Pt 0.331 0.331 0.731
Pt 0.483 0.483 0.673
Pt 0.517 0.517 0.327
Pt 0.669 0.669 0.269
Pt 0.877 0.877 0.156

***

The following is a DFT calculation (PBE) of CeUO4 after structural relaxation.

Properties
The value obtained for the theoretical density is 9.1 g cm⁻³. The symmetry is No. 166. Its crystal system is trigonal. The calculated total energy is -9.62 eV/atom.

abc: 6.638 6.638 6.638
angles: 33.85 33.85 33.85
Sites, in units of the cell vectors:
Ce 0.000 0.000 0.000
U 0.500 0.500 0.500
O 0.130 0.130 0.130
O 0.381 0.381 0.381
O 0.619 0.619 0.619
O 0.870 0.870 0.870

***

The following is a DFT calculation (PBE) of MnCl2 after structural relaxation.

Properties
The value obtained for the theoretical density is 2.7 g cm⁻³. The symmetry is No. 166. Its crystal system is trigonal. The calculated total energy is -5.37 eV/atom.

abc: 3.717 3.717 19.603
angles: 90.00 90.00 120.00
Sites, in units of the cell vectors:
Mn 0.000 0.000 0.000
Mn 0.333 0.667 0.667
Mn 0.667 0.333 0.333
Cl 0.000 0.000 0.263
Cl 0.000 0.000 0.737
Cl 0.333 0.667 0.404
Cl 0.333 0.667 0.929
Cl 0.667 0.333 0.071
Cl 0.667 0.333 0.596

***

The following is a DFT calculation (PBE) of BaCu2P4 after structural relaxation.

Properties
The value obtained for the theoretical density is 4.8 g cm⁻³. The symmetry is No. 70. Its crystal system is orthorhombic. The calculated total energy is -5.00 eV/atom.

abc: 10.828 9.920 5.813
angles: 82.56 65.28 32.16
Sites, in units of the cell vectors:
Ba 0.125 0.125 0.125
Ba 0.875 0.875 0.875
Cu 0.253 0.253 0.497
Cu 0.497 0.497 0.253
Cu 0.503 0.503 0.747
Cu 0.747 0.747 0.503
P 0.171 0.687 0.198
P 0.198 0.444 0.171
P 0.313 0.829 0.556
P 0.444 0.198 0.687
P 0.556 0.802 0.313
P 0.687 0.171 0.444
P 0.802 0.556 0.829
P 0.829 0.313 0.802

***

The following is a DFT calculation (PBE) of SiO2 after structural relaxation.

Properties
The value obtained for the theoretical density is 2.3 g cm⁻³. The symmetry is No. 5. Its crystal system is monoclinic. The calculated total energy is -7.85 eV/atom.

abc: 5.176 5.176 6.807
angles: 98.33 98.33 96.37
Sites, in units of the cell vectors:
Si 0.008 0.008 0.237
Si 0.180 0.447 0.569
Si 0.553 0.820 0.431
Si 0.992 0.992 0.763
O 0.076 0.707 0.679
O 0.202 0.236 0.727
O 0.293 0.924 0.321
O 0.462 0.538 0.500
O 0.702 0.014 0.639
O 0.764 0.798 0.273
O 0.982 0.018 0.000
O 0.986 0.298 0.361

***

The following is a DFT calculation (PBE) of CsSeBr3 after structural relaxation.

Properties
The value obtained for the theoretical density is 4.4 g cm⁻³. The symmetry is No. 6. Its crystal system is monoclinic. The calculated total energy is -2.66 eV/atom.

abc: 5.560 5.575 5.560
angles: 90.00 90.09 90.00
Sites, in units of the cell vectors:
Cs 0.000 0.000 0.000
Se 0.504 0.500 0.509
Br 0.004 0.500 0.508
Br 0.501 0.500 0.010
Br 0.506 0.000 0.509

***

The following is a DFT calculation (PBE) of BaMg14Zr after structural relaxation.

Properties
The value obtained for the theoretical density is 2.4 g cm⁻³. As for the energy above the most stable polymorph in this dataset: 9 kJ/mol of formula units. The symmetry is No. 38. Its crystal system is orthorhombic. The calculated total energy is -1.95 eV/atom.

abc: 10.524 6.604 6.604
angles: 59.83 90.00 90.00
Sites, in units of the cell vectors:
Ba 0.000 0.000 0.000
Mg 0.000 0.498 0.995
Mg 0.000 0.995 0.498
Mg 0.244 0.659 0.659
Mg 0.262 0.171 0.649
Mg 0.262 0.649 0.171
Mg 0.266 0.169 0.169
Mg 0.500 0.497 0.497
Mg 0.500 0.500 0.990
Mg 0.500 0.990 0.500
Mg 0.500 0.995 0.995
Mg 0.734 0.169 0.169
Mg 0.738 0.171 0.649
Mg 0.738 0.649 0.171
Mg 0.756 0.659 0.659
Zr 0.000 0.481 0.481

***

The following is a DFT calculation (PBE) of TiH42N14Cl3 after structural relaxation.

Properties
The value obtained for the theoretical density is 1.0 g cm⁻³. The symmetry is No. 13. Its crystal system is monoclinic. The calculated total energy is -5.00 eV/atom.

abc: 9.481 9.988 13.391
angles: 90.00 91.99 90.00
Sites, in units of the cell vectors:
Ti 0.000 0.228 0.250
Ti 0.000 0.772 0.750
H 0.012 0.492 0.163
H 0.012 0.508 0.663
H 0.013 0.376 0.076
H 0.013 0.624 0.576
H 0.065 0.038 0.829
H 0.065 0.962 0.329
H 0.101 0.172 0.062
H 0.101 0.828 0.562
H 0.123 0.079 0.405
H 0.123 0.921 0.905
H 0.153 0.044 0.130
H 0.153 0.956 0.630
H 0.155 0.317 0.861
H 0.155 0.683 0.361
H 0.162 0.415 0.137
H 0.162 0.585 0.637
H 0.203 0.290 0.396
H 0.203 0.710 0.896
H 0.215 0.040 0.306
H 0.215 0.960 0.806
H 0.221 0.410 0.313
H 0.221 0.590 0.813
H 0.226 0.323 0.752
H 0.226 0.677 0.252
H 0.246 0.183 0.137
H 0.246 0.817 0.637
H 0.297 0.262 0.297
H 0.297 0.738 0.797
H 0.327 0.329 0.854
H 0.327 0.671 0.354
H 0.368 0.204 0.563
H 0.368 0.796 0.063
H 0.398 0.468 0.609
H 0.398 0.532 0.109
H 0.399 0.404 0.032
H 0.399 0.596 0.532
H 0.448 0.382 0.148
H 0.448 0.618 0.648
H 0.493 0.161 0.488
H 0.493 0.839 0.988
H 0.497 0.117 0.894
H 0.497 0.883 0.394
H 0.503 0.117 0.606
H 0.503 0.883 0.106
H 0.507 0.161 0.012
H 0.507 0.839 0.512
H 0.552 0.382 0.352
H 0.552 0.618 0.852
H 0.601 0.404 0.468
H 0.601 0.596 0.968
H 0.602 0.468 0.891
H 0.602 0.532 0.391
H 0.632 0.204 0.937
H 0.632 0.796 0.437
H 0.673 0.329 0.646
H 0.673 0.671 0.146
H 0.703 0.262 0.203
H 0.703 0.738 0.703
H 0.754 0.183 0.363
H 0.754 0.817 0.863
H 0.774 0.323 0.748
H 0.774 0.677 0.248
H 0.779 0.410 0.187
H 0.779 0.590 0.687
H 0.785 0.040 0.194
H 0.785 0.960 0.694
H 0.797 0.290 0.104
H 0.797 0.710 0.604
H 0.838 0.415 0.363
H 0.838 0.585 0.863
H 0.845 0.317 0.639
H 0.845 0.683 0.139
H 0.847 0.044 0.370
H 0.847 0.956 0.870
H 0.877 0.079 0.095
H 0.877 0.921 0.595
H 0.899 0.172 0.438
H 0.899 0.828 0.938
H 0.935 0.038 0.671
H 0.935 0.962 0.171
H 0.987 0.376 0.424
H 0.987 0.624 0.924
H 0.988 0.492 0.337
H 0.988 0.508 0.837
N 0.055 0.401 0.145
N 0.055 0.599 0.645
N 0.115 0.053 0.330
N 0.115 0.947 0.830
N 0.146 0.146 0.131
N 0.146 0.854 0.631
N 0.207 0.308 0.321
N 0.207 0.692 0.821
N 0.233 0.363 0.822
N 0.233 0.637 0.322
N 0.376 0.432 0.103
N 0.376 0.568 0.603
N 0.476 0.195 0.559
N 0.476 0.805 0.059
N 0.524 0.195 0.941
N 0.524 0.805 0.441
N 0.624 0.432 0.397
N 0.624 0.568 0.897
N 0.767 0.363 0.678
N 0.767 0.637 0.178
N 0.793 0.308 0.179
N 0.793 0.692 0.679
N 0.854 0.146 0.369
N 0.854 0.854 0.869
N 0.885 0.053 0.170
N 0.885 0.947 0.670
N 0.945 0.401 0.355
N 0.945 0.599 0.855
Cl 0.088 0.209 0.561
Cl 0.088 0.791 0.061
Cl 0.500 0.132 0.250
Cl 0.500 0.868 0.750
Cl 0.912 0.209 0.939
Cl 0.912 0.791 0.439

***

The following is a DFT calculation (PBE) of Nd2CuGe2O8 after structural relaxation.

Properties
The value obtained for the theoretical density is 6.0 g cm⁻³. The symmetry is No. 8. Its crystal system is monoclinic. The calculated total energy is -7.05 eV/atom.

abc: 9.178 9.178 5.211
angles: 106.02 106.02 114.54
Sites, in units of the cell vectors:
Nd 0.121 0.879 0.000
Nd 0.381 0.624 0.491
Nd 0.624 0.381 0.491
Nd 0.879 0.121 0.000
Cu 0.506 0.920 0.193
Cu 0.920 0.506 0.193
Ge 0.048 0.469 0.734
Ge 0.247 0.247 0.790
Ge 0.469 0.048 0.734
Ge 0.742 0.742 0.190
O 0.076 0.421 0.054
O 0.078 0.078 0.824
O 0.154 0.338 0.575
O 0.204 0.670 0.743
O 0.336 0.854 0.374
O 0.338 0.154 0.575
O 0.411 0.411 0.158
O 0.421 0.076 0.054
O 0.580 0.927 0.888
O 0.581 0.581 0.813
O 0.643 0.830 0.391
O 0.670 0.204 0.743
O 0.830 0.643 0.391
O 0.854 0.336 0.374
O 0.912 0.912 0.154
O 0.927 0.580 0.888

***

The following is a DFT calculation (PBE) of Lu4NiB13 after structural relaxation.

Properties
The value obtained for the theoretical density is 8.5 g cm⁻³. The symmetry is No. 128. Its crystal system is tetragonal. The calculated total energy is -6.67 eV/atom.

abc: 7.220 7.220 6.754
angles: 90.00 90.00 90.00
Sites, in units of the cell vectors:
Lu 0.180 0.315 0.000
Lu 0.185 0.320 0.500
Lu 0.315 0.820 0.000
Lu 0.320 0.815 0.500
Lu 0.680 0.185 0.500
Lu 0.685 0.180 0.000
Lu 0.815 0.680 0.500
Lu 0.820 0.685 0.000
Ni 0.000 0.000 0.500
Ni 0.500 0.500 0.000
B 0.000 0.000 0.000
B 0.040 0.829 0.243
B 0.040 0.829 0.757
B 0.091 0.591 0.250
B 0.091 0.591 0.750
B 0.171 0.040 0.243
B 0.171 0.040 0.757
B 0.329 0.540 0.257
B 0.329 0.540 0.743
B 0.409 0.091 0.250
B 0.409 0.091 0.750
B 0.460 0.329 0.257
B 0.460 0.329 0.743
B 0.500 0.500 0.500
B 0.540 0.671 0.257
B 0.540 0.671 0.743
B 0.591 0.909 0.250
B 0.591 0.909 0.750
B 0.671 0.460 0.257
B 0.671 0.460 0.743
B 0.829 0.960 0.243
B 0.829 0.960 0.757
B 0.909 0.409 0.250
B 0.909 0.409 0.750
B 0.960 0.171 0.243
B 0.960 0.171 0.757